Mg5Si6 | the Materials Project database | PBE | optimized geometry; total energy = -3.61 eV/atom; offset from the most stable computed form = 0.054 eV/atom; energy of formation = 0.1193 eV per atom; total magnetic moment = 0.05 μB/f.u.
1.0
-3.494 -1.328 -0.430
2.643 -5.610 -4.151
2.043 -9.220 11.863
Mg Si
10 12
Direct
0.500 0.947 0.980 Mg
0.500 0.482 0.512 Mg
0.500 0.918 0.332 Mg
0.000 0.163 0.612 Mg
0.000 0.235 0.825 Mg
0.000 0.771 0.142 Mg
0.000 0.256 0.381 Mg
0.500 0.795 0.633 Mg
0.000 0.617 0.944 Mg
0.000 0.229 0.058 Mg
0.500 0.517 0.075 Si
0.500 0.338 0.939 Si
0.500 0.072 0.488 Si
0.000 0.838 0.488 Si
0.000 0.098 0.226 Si
0.500 0.792 0.824 Si
0.000 0.496 0.669 Si
0.000 0.619 0.374 Si
0.500 0.586 0.270 Si
0.500 0.496 0.770 Si
0.000 0.931 0.752 Si
0.500 0.300 0.206 Si